Below is HfZrOs2 after structural relaxation, with properties calculated at the PBE level.

Energy ... -10.85 eV per atom
Energy relative to the elements ... -0.6135 eV per atom

a b c (Å): 6.553 6.553 6.553
angles (deg): 90.00 90.00 90.00
Element x y z (fractional)
Hf (0.000, 0.000, 0.000)
Hf (0.000, 0.500, 0.500)
Hf (0.500, 0.000, 0.500)
Hf (0.500, 0.500, 0.000)
Zr (0.000, 0.000, 0.500)
Zr (0.000, 0.500, 0.000)
Zr (0.500, 0.000, 0.000)
Zr (0.500, 0.500, 0.500)
Os (0.250, 0.250, 0.250)
Os (0.250, 0.250, 0.750)
Os (0.250, 0.750, 0.250)
Os (0.250, 0.750, 0.750)
Os (0.750, 0.250, 0.250)
Os (0.750, 0.250, 0.750)
Os (0.750, 0.750, 0.250)
Os (0.750, 0.750, 0.750)

---

Below is Hf2P after structural relaxation, with properties calculated at the PBE level.

Energy ... -9.45 eV per atom
Energy relative to the elements ... -1.0043 eV per atom

a b c (Å): 12.315 15.098 3.589
angles (deg): 90.00 90.00 90.00
Element x y z (fractional)
Hf (0.025, 0.106, 0.000)
Hf (0.088, 0.576, 0.000)
Hf (0.096, 0.747, 0.500)
Hf (0.117, 0.415, 0.500)
Hf (0.161, 0.978, 0.500)
Hf (0.188, 0.209, 0.500)
Hf (0.312, 0.709, 0.000)
Hf (0.339, 0.478, 0.000)
Hf (0.383, 0.915, 0.000)
Hf (0.404, 0.247, 0.000)
Hf (0.412, 0.076, 0.500)
Hf (0.475, 0.606, 0.500)
Hf (0.525, 0.394, 0.500)
Hf (0.588, 0.924, 0.500)
Hf (0.596, 0.753, 0.000)
Hf (0.617, 0.085, 0.000)
Hf (0.661, 0.522, 0.000)
Hf (0.688, 0.291, 0.000)
Hf (0.812, 0.791, 0.500)
Hf (0.839, 0.022, 0.500)
Hf (0.883, 0.585, 0.500)
Hf (0.904, 0.253, 0.500)
Hf (0.912, 0.424, 0.000)
Hf (0.975, 0.894, 0.000)
P (0.057, 0.288, 0.000)
P (0.187, 0.851, 0.000)
P (0.244, 0.591, 0.500)
P (0.256, 0.091, 0.000)
P (0.313, 0.351, 0.500)
P (0.443, 0.788, 0.500)
P (0.557, 0.212, 0.500)
P (0.687, 0.649, 0.500)
P (0.744, 0.909, 0.000)
P (0.756, 0.409, 0.500)
P (0.813, 0.149, 0.000)
P (0.943, 0.712, 0.000)

---

Below is Hf7P4 after structural relaxation, with properties calculated at the PBE level.

Energy ... -9.38 eV per atom
Energy relative to the elements ... -1.0723 eV per atom

a b c (Å): 8.069 8.069 14.699
angles (deg): 104.18 104.18 25.30
Element x y z (fractional)
Hf (0.000, 0.000, 0.000)
Hf (0.004, 0.004, 0.669)
Hf (0.176, 0.176, 0.541)
Hf (0.197, 0.197, 0.312)
Hf (0.205, 0.205, 0.797)
Hf (0.339, 0.339, 0.029)
Hf (0.431, 0.431, 0.831)
Hf (0.500, 0.500, 0.500)
Hf (0.569, 0.569, 0.169)
Hf (0.661, 0.661, 0.971)
Hf (0.795, 0.795, 0.203)
Hf (0.803, 0.803, 0.688)
Hf (0.824, 0.824, 0.459)
Hf (0.996, 0.996, 0.331)
P (0.063, 0.063, 0.853)
P (0.177, 0.177, 0.112)
P (0.370, 0.370, 0.339)
P (0.376, 0.376, 0.600)
P (0.624, 0.624, 0.400)
P (0.630, 0.630, 0.661)
P (0.823, 0.823, 0.888)
P (0.937, 0.937, 0.147)